Entry 1:
Computed, not measured: a relaxed Ti4P3O15 crystal at the PBE level of DFT.

Space-group type: Fdd2 (43)
E_form, eV per atom: -3.125

Geometry as CIF:
```
data_Ti4P3O15
_chemical_formula_sum 'Ti24 P18 O90'
_cell_length_a 22.4997
_cell_length_b 19.8699
_cell_length_c 11.8138
_cell_angle_alpha 86.56
_cell_angle_beta 61.83
_cell_angle_gamma 31.61
_space_group_name_H-M_alt 'P 1'
_space_group_IT_number 1
_space_group_name_Hall 'P 1'
loop_
_atom_site_label
_atom_site_type_symbol
_atom_site_fract_x
_atom_site_fract_y
_atom_site_fract_z
Ti1 Ti 0.8771 0.0415 0.0575
Ti2 Ti 0.0239 0.0575 0.0415
Ti3 Ti 0.2085 0.3729 0.2261
Ti4 Ti 0.1925 0.2261 0.3729
Ti5 Ti 0.4788 0.7684 0.4303
Ti6 Ti 0.3224 0.4303 0.7684
Ti7 Ti 0.4816 0.7712 0.9276
Ti8 Ti 0.8197 0.9276 0.7712
Ti9 Ti 0.3296 0.7576 0.4403
Ti10 Ti 0.4725 0.4403 0.7576
Ti11 Ti 0.4924 0.9204 0.7775
Ti12 Ti 0.8097 0.7775 0.9204
Ti13 Ti 0.2024 0.3917 0.7238
Ti14 Ti 0.6822 0.7238 0.3917
Ti15 Ti 0.8583 0.0476 0.5678
Ti16 Ti 0.5262 0.5678 0.0476
Ti17 Ti 0.0070 0.4231 0.7589
Ti18 Ti 0.8110 0.7589 0.4231
Ti19 Ti 0.8269 0.2430 0.4390
Ti20 Ti 0.4911 0.4390 0.2430
Ti21 Ti 0.8796 0.3796 0.7256
Ti22 Ti 0.0151 0.7256 0.3796
Ti23 Ti 0.8704 0.3704 0.2349
Ti24 Ti 0.5244 0.2349 0.3704
P1 P 0.5673 0.4327 0.4327
P2 P 0.8173 0.6827 0.6827
P3 P 0.2037 0.4676 0.4595
P4 P 0.8691 0.4595 0.4676
P5 P 0.7824 0.0463 0.3809
P6 P 0.7905 0.3809 0.0463
P7 P 0.8784 0.7859 0.1182
P8 P 0.2175 0.1182 0.7859
P9 P 0.4641 0.3716 0.0325
P10 P 0.1318 0.0325 0.3716
P11 P 0.5573 0.1056 0.7714
P12 P 0.5657 0.7714 0.1056
P13 P 0.1444 0.6927 0.6843
P14 P 0.4786 0.6843 0.6927
P15 P 0.8757 0.1234 0.7891
P16 P 0.2117 0.7891 0.1234
P17 P 0.1266 0.3743 0.0383
P18 P 0.4609 0.0383 0.3743
O1 O 0.1090 0.2756 0.8045
O2 O 0.8109 0.8045 0.2756
O3 O 0.9744 0.1410 0.4391
O4 O 0.4455 0.4391 0.1410
O5 O 0.4656 0.4860 0.6080
O6 O 0.4405 0.6080 0.4860
O7 O 0.7640 0.7844 0.8095
O8 O 0.6420 0.8095 0.7844
O9 O 0.0899 0.2066 0.9834
O10 O 0.7201 0.9834 0.2066
O11 O 0.0434 0.1601 0.5299
O12 O 0.2666 0.5299 0.1601
O13 O 0.2889 0.1749 0.9481
O14 O 0.5882 0.9481 0.1749
O15 O 0.0751 0.9611 0.6618
O16 O 0.3019 0.6618 0.9611
O17 O 0.7837 0.1702 0.9684
O18 O 0.0778 0.9684 0.1702
O19 O 0.0798 0.4663 0.1722
O20 O 0.2816 0.1722 0.4663
O21 O 0.4940 0.7971 0.2676
O22 O 0.4413 0.2676 0.7971
O23 O 0.4529 0.7560 0.8087
O24 O 0.9824 0.8087 0.7560
O25 O 0.4073 0.9678 0.1893
O26 O 0.4357 0.1893 0.9678
O27 O 0.2822 0.8427 0.8143
O28 O 0.0607 0.8143 0.8427
O29 O 0.7468 0.3045 0.8575
O30 O 0.0912 0.8575 0.3045
O31 O 0.9455 0.5032 0.1588
O32 O 0.3925 0.1588 0.5032
O33 O 0.7730 0.5126 0.6513
O34 O 0.0631 0.6513 0.5126
O35 O 0.7374 0.4770 0.1869
O36 O 0.5987 0.1869 0.4770
O37 O 0.9192 0.2038 0.9891
O38 O 0.8879 0.9891 0.2038
O39 O 0.0462 0.3308 0.3621
O40 O 0.2609 0.3621 0.3308
O41 O 0.1901 0.3574 0.8808
O42 O 0.5718 0.8808 0.3574
O43 O 0.8926 0.0599 0.6782
O44 O 0.3692 0.6782 0.0599
O45 O 0.5755 0.6310 0.5098
O46 O 0.2837 0.5098 0.6310
O47 O 0.6190 0.6745 0.9663
O48 O 0.7402 0.9663 0.6745
O49 O 0.6078 0.5037 0.6269
O50 O 0.2616 0.6269 0.5037
O51 O 0.7463 0.6422 0.9884
O52 O 0.6231 0.9884 0.6422
O53 O 0.7216 0.6482 0.5305
O54 O 0.0997 0.5305 0.6482
O55 O 0.6018 0.5284 0.1503
O56 O 0.7195 0.1503 0.5284
O57 O 0.9078 0.8719 0.3327
O58 O 0.8876 0.3327 0.8719
O59 O 0.3781 0.3422 0.3624
O60 O 0.9173 0.3624 0.3422
O61 O 0.2722 0.8493 0.3192
O62 O 0.5593 0.3192 0.8493
O63 O 0.4007 0.9778 0.6907
O64 O 0.9308 0.6907 0.9778
O65 O 0.9635 0.4951 0.6224
O66 O 0.9190 0.6224 0.4951
O67 O 0.7549 0.2865 0.3310
O68 O 0.6276 0.3310 0.2865
O69 O 0.2479 0.9670 0.1898
O70 O 0.5954 0.1898 0.9670
O71 O 0.2830 0.0021 0.6546
O72 O 0.0602 0.6546 0.0021
O73 O 0.2688 0.2312 0.2312
O74 O 0.0188 0.9812 0.9812
O75 O 0.6914 0.6352 0.3274
O76 O 0.3460 0.3274 0.6352
O77 O 0.6148 0.5586 0.9040
O78 O 0.9226 0.9040 0.5586
O79 O 0.4157 0.9169 0.9211
O80 O 0.7464 0.9211 0.9169
O81 O 0.3331 0.8343 0.5036
O82 O 0.3289 0.5036 0.8343
O83 O 0.0446 0.6173 0.3071
O84 O 0.0310 0.3071 0.6173
O85 O 0.6327 0.2054 0.2190
O86 O 0.9429 0.2190 0.2054
O87 O 0.7292 0.2607 0.5840
O88 O 0.4262 0.5840 0.2607
O89 O 0.9893 0.5208 0.8238
O90 O 0.6660 0.8238 0.5208
```



Entry 2:
Computed, not measured: a relaxed ThUTe2 crystal at the PBE level of DFT.

Space-group type: P4/mmm (123)
E_form, eV per atom: -0.929

Geometry as CIF:
```
data_ThUTe2
_chemical_formula_sum 'Th1 U1 Te2'
_cell_length_a 4.4182
_cell_length_b 4.4182
_cell_length_c 6.2504
_cell_angle_alpha 90.00
_cell_angle_beta 90.00
_cell_angle_gamma 90.00
_space_group_name_H-M_alt 'P 1'
_space_group_IT_number 1
_space_group_name_Hall 'P 1'
loop_
_atom_site_label
_atom_site_type_symbol
_atom_site_fract_x
_atom_site_fract_y
_atom_site_fract_z
Th1 Th 0.0000 0.0000 0.0000
U1 U 0.5000 0.5000 0.5000
Te1 Te 0.0000 0.0000 0.5000
Te2 Te 0.5000 0.5000 0.0000
```



The lowest E_form belongs to which entry?
Ti4P3O15



What did the second record say?
Computed, not measured: a relaxed ThUTe2 crystal at the PBE level of DFT.

Space-group type: P4/mmm (123)
E_form, eV per atom: -0.929

Geometry as CIF:
```
data_ThUTe2
_chemical_formula_sum 'Th1 U1 Te2'
_cell_length_a 4.4182
_cell_length_b 4.4182
_cell_length_c 6.2504
_cell_angle_alpha 90.00
_cell_angle_beta 90.00
_cell_angle_gamma 90.00
_space_group_name_H-M_alt 'P 1'
_space_group_IT_number 1
_space_group_name_Hall 'P 1'
loop_
_atom_site_label
_atom_site_type_symbol
_atom_site_fract_x
_atom_site_fract_y
_atom_site_fract_z
Th1 Th 0.0000 0.0000 0.0000
U1 U 0.5000 0.5000 0.5000
Te1 Te 0.0000 0.0000 0.5000
Te2 Te 0.5000 0.5000 0.0000
```